# Er2SnAu2, relaxed, DFT GGA-PBE
data_Er2SnAu2
_chemical_formula_sum 'Er8 Sn4 Au8'
_space_group_name_H-M_alt 'P 42/m n m'
_space_group_IT_number 136
_space_group_name_Hall '-P 4n 2n'
_cell_length_a 7.900
_cell_length_b 7.900
_cell_length_c 7.452
_cell_angle_alpha 90.00
_cell_angle_beta 90.00
_cell_angle_gamma 90.00
loop_
_atom_site_label
_atom_site_type_symbol
_atom_site_fract_x
_atom_site_fract_y
_atom_site_fract_z
_atom_site_occupancy
Er1 Er 0.157 0.157 0.000 1
Er2 Er 0.184 0.184 0.500 1
Sn1 Sn 0.000 0.500 0.250 1
Au1 Au 0.128 0.872 0.278 1
# Energy relative to the elements ... -0.839 eV/atom
# Total DFT energy (no corrections) ... -23.9 eV per formula unit
# Calculated volume ... 465.07 Å³/cell



# DyLuIn2, relaxed, DFT GGA-PBE
data_DyLuIn2
_chemical_formula_sum 'Dy4 Lu4 In8'
_space_group_name_H-M_alt 'F m -3 m'
_space_group_IT_number 225
_space_group_name_Hall '-F 4 2 3'
_cell_length_a 7.451
_cell_length_b 7.451
_cell_length_c 7.451
_cell_angle_alpha 90.00
_cell_angle_beta 90.00
_cell_angle_gamma 90.00
loop_
_atom_site_label
_atom_site_type_symbol
_atom_site_fract_x
_atom_site_fract_y
_atom_site_fract_z
_atom_site_occupancy
Dy1 Dy 0.000 0.000 0.000 1
Lu1 Lu 0.000 0.000 0.500 1
In1 In 0.250 0.250 0.250 1
# Energy relative to the elements ... -0.420 eV/atom
# Total DFT energy (no corrections) ... -16.3 eV per formula unit
# Calculated volume ... 413.59 Å³/cell



# ZrGeSe, relaxed, DFT GGA-PBE
data_ZrGeSe
_chemical_formula_sum 'Zr2 Ge2 Se2'
_space_group_name_H-M_alt 'P 4/n m m'
_space_group_IT_number 129
_cell_length_a 3.738
_cell_length_b 3.738
_cell_length_c 8.405
_cell_angle_alpha 90.00
_cell_angle_beta 90.00
_cell_angle_gamma 90.00
loop_
_space_group_symop_operation_xyz
'x,y,z'
'-x,-y,-z'
'-y+1/2,x,z'
'y+1/2,-x,-z'
'-x+1/2,-y+1/2,z'
'x+1/2,y+1/2,-z'
'y,-x+1/2,z'
'-y,x+1/2,-z'
'x+1/2,-y,-z'
'-x+1/2,y,z'
'-y,-x,-z'
'y,x,z'
'-x,y+1/2,-z'
'x,-y+1/2,z'
'y+1/2,x+1/2,-z'
'-y+1/2,-x+1/2,z'
loop_
_atom_site_label
_atom_site_type_symbol
_atom_site_fract_x
_atom_site_fract_y
_atom_site_fract_z
_atom_site_occupancy
Zr1 Zr 0.250 0.250 0.239 1
Ge1 Ge 0.250 0.750 0.500 1
Se1 Se 0.250 0.250 0.879 1
# Energy relative to the elements ... -1.190 eV/atom
# Energy with MP2020 corrections ... -6.7459 eV per atom
# Total DFT energy (no corrections) ... -19.8 eV per formula unit
# Calculated volume ... 117.43 Å³/cell



# K4Ti2PO4F9, relaxed, DFT GGA-PBE
data_K4Ti2PO4F9
_chemical_formula_sum 'K16 Ti8 P4 O16 F36'
_space_group_name_H-M_alt 'P 1 21/c 1'
_space_group_IT_number 14
_cell_length_a 5.937
_cell_length_b 11.163
_cell_length_c 20.490
_cell_angle_alpha 90.00
_cell_angle_beta 105.86
_cell_angle_gamma 90.00
loop_
_space_group_symop_operation_xyz
'x,y,z'
'-x,-y,-z'
'-x,y+1/2,-z+1/2'
'x,-y+1/2,z+1/2'
loop_
_atom_site_label
_atom_site_type_symbol
_atom_site_fract_x
_atom_site_fract_y
_atom_site_fract_z
_atom_site_occupancy
K1 K 0.044 0.231 0.016 1
K2 K 0.141 0.544 0.151 1
K3 K 0.157 0.546 0.667 1
K4 K 0.372 0.744 0.360 1
Ti1 Ti 0.219 0.246 0.745 1
Ti2 Ti 0.500 0.000 0.000 1
Ti3 Ti 0.500 0.000 0.500 1
P1 P 0.455 0.248 0.408 1
O1 O 0.264 0.220 0.841 1
O2 O 0.300 0.749 0.100 1
O3 O 0.380 0.123 0.431 1
O4 O 0.422 0.161 0.963 1
F1 F 0.020 0.627 0.776 1
F2 F 0.021 0.638 0.260 1
F3 F 0.164 0.230 0.149 1
F4 F 0.213 0.558 0.442 1
F5 F 0.242 0.598 0.956 1
F6 F 0.327 0.072 0.556 1
F7 F 0.352 0.039 0.068 1
F8 F 0.444 0.131 0.738 1
F9 F 0.444 0.132 0.258 1
# Energy relative to the elements ... -3.361 eV/atom
# Energy with MP2020 corrections ... -6.4945 eV per atom
# Total DFT energy (no corrections) ... -123.0 eV per formula unit
# Calculated volume ... 1306.27 Å³/cell



# SrCe2O4, relaxed, DFT GGA-PBE
data_SrCe2O4
_chemical_formula_sum 'Sr4 Ce8 O16'
_space_group_name_H-M_alt 'P n m a'
_space_group_IT_number 62
_cell_length_a 10.219
_cell_length_b 3.581
_cell_length_c 12.309
_cell_angle_alpha 90.00
_cell_angle_beta 90.00
_cell_angle_gamma 90.00
loop_
_space_group_symop_operation_xyz
'x,y,z'
'-x,-y,-z'
'-x+1/2,-y,z+1/2'
'x+1/2,y,-z+1/2'
'x+1/2,-y+1/2,-z+1/2'
'-x+1/2,y+1/2,z+1/2'
'-x,y+1/2,-z'
'x,-y+1/2,z'
loop_
_atom_site_label
_atom_site_type_symbol
_atom_site_fract_x
_atom_site_fract_y
_atom_site_fract_z
_atom_site_occupancy
Sr1 Sr 0.249 0.250 0.146 1
Ce1 Ce 0.074 0.750 0.385 1
Ce2 Ce 0.091 0.750 0.892 1
O1 O 0.001 0.250 0.286 1
O2 O 0.067 0.750 0.083 1
O3 O 0.135 0.250 0.514 1
O4 O 0.221 0.250 0.807 1
# Energy relative to the elements ... -3.534 eV/atom
# Energy with MP2020 corrections ... -8.2979 eV per atom
# Total DFT energy (no corrections) ... -55.3 eV per formula unit
# Calculated volume ... 450.44 Å³/cell



# LiSn4Ru, relaxed, DFT GGA-PBE
data_LiSn4Ru
_chemical_formula_sum 'Li4 Sn16 Ru4'
_space_group_name_H-M_alt 'I 4/m c m'
_space_group_IT_number 140
_space_group_name_Hall '-I 4 2c'
_cell_length_a 6.716
_cell_length_b 6.716
_cell_length_c 11.314
_cell_angle_alpha 90.00
_cell_angle_beta 90.00
_cell_angle_gamma 90.00
loop_
_atom_site_label
_atom_site_type_symbol
_atom_site_fract_x
_atom_site_fract_y
_atom_site_fract_z
_atom_site_occupancy
Li1 Li 0.000 0.000 0.000 1
Sn1 Sn 0.160 0.340 0.137 1
Ru1 Ru 0.000 0.000 0.250 1
# Energy relative to the elements ... -0.256 eV/atom
# Total DFT energy (no corrections) ... -28.8 eV per formula unit
# Calculated volume ... 510.32 Å³/cell